# 1
A relaxed structure of BaMnSnS4, computed with PBE.

Its volume is 1580 Å³ per cell. The value obtained for the energy of formation is -92 kJ/mol of atoms. As for the theoretical density: 3.69 g/cm3. For the total magnetic moment, the calculation gives 0.42 μB per formula unit.

a = 15.592 Å, b = 12.922 Å, c = 12.677 Å
α = 75.04°, β = 53.19°, γ = 51.77°
Atoms (fractional coordinates):
Mn (0.736, 0.516, 0.412)
S (0.294, 0.291, 0.453)
Sn (0.016, 0.235, 0.845)
S (0.958, 0.455, 0.793)
Ba (0.750, 0.250, 0.250)
S (0.294, 0.293, 0.953)
Ba (0.750, 0.254, 0.749)
Mn (0.734, 0.514, 0.913)
S (0.461, 0.953, 0.293)
Sn (0.904, 0.845, 0.235)
S (0.035, 0.215, 0.527)
S (0.035, 0.215, 0.028)
S (0.797, 0.289, 0.956)
S (0.566, 0.187, 0.030)
S (0.063, 0.684, 0.033)
S (0.714, 0.534, 0.233)
S (0.455, 0.458, 0.792)
Sn (0.511, 0.738, 0.264)
S (0.961, 0.453, 0.291)
S (0.457, 0.457, 0.292)
Mn (0.337, 0.412, 0.516)
Ba (0.498, 0.002, 0.002)
Ba (0.000, 0.500, 0.500)
Mn (0.265, 0.484, 0.011)
Ba (0.501, 0.003, 0.500)
S (0.222, 0.527, 0.215)
S (0.531, 0.721, 0.562)
Sn (0.487, 0.264, 0.738)
S (0.688, 0.064, 0.719)
S (0.458, 0.955, 0.795)
Mn (0.838, 0.913, 0.514)
Mn (0.239, 0.010, 0.985)
S (0.723, 0.028, 0.215)
Sn (0.405, 0.346, 0.234)
S (0.519, 0.233, 0.534)
Ba (0.247, 0.749, 0.254)
S (0.793, 0.793, 0.455)
S (0.716, 0.536, 0.731)
S (0.795, 0.292, 0.457)
S (0.217, 0.030, 0.187)
S (0.186, 0.562, 0.721)
S (0.957, 0.956, 0.789)
S (0.297, 0.789, 0.956)
Sn (0.986, 0.763, 0.739)
Mn (0.240, 0.011, 0.484)
Ba (0.248, 0.752, 0.752)
Ba (0.996, 0.500, 0.003)
Sn (0.512, 0.739, 0.763)
S (0.017, 0.731, 0.536)
S (0.295, 0.792, 0.458)
S (0.959, 0.956, 0.289)
S (0.529, 0.719, 0.064)
Mn (0.766, 0.985, 0.010)
S (0.792, 0.795, 0.955)
Sn (0.015, 0.234, 0.346)
S (0.220, 0.033, 0.684)

***

# 2
A relaxed structure of CdNCl3, computed with PBE.

Its volume is 626 Å³ per cell. The value obtained for the energy of formation is -13 kJ/mol of atoms. The energy above the lowest structure with this stoichiometry comes out at 172 meV per atom. As for the theoretical density: 2.47 g/cm3. For the total magnetic moment, the calculation gives 2.00 μB per formula unit.

a = 3.775 Å, b = 9.827 Å, c = 16.868 Å
α = 90.00°, β = 90.00°, γ = 90.00°
Atoms (fractional coordinates):
Cd (0.750, 0.162, 0.965)
Cl (0.750, 0.009, 0.094)
N (0.750, 0.783, 0.237)
Cl (0.250, 0.308, 0.238)
Cl (0.250, 0.991, 0.906)
Cl (0.250, 0.491, 0.594)
Cd (0.250, 0.338, 0.465)
N (0.250, 0.217, 0.763)
Cl (0.750, 0.192, 0.738)
Cl (0.750, 0.509, 0.406)
Cl (0.750, 0.692, 0.762)
Cl (0.250, 0.808, 0.262)
Cl (0.750, 0.170, 0.478)
Cl (0.250, 0.830, 0.522)
Cd (0.750, 0.662, 0.535)
N (0.250, 0.717, 0.737)
Cl (0.750, 0.670, 0.022)
N (0.750, 0.283, 0.263)
Cl (0.250, 0.330, 0.978)
Cd (0.250, 0.838, 0.035)

***

# 3
A relaxed structure of HgC4Br3N, computed with PBE.

Its volume is 1386 Å³ per cell. The value obtained for the energy of formation is 56 kJ/mol of atoms. The energy above the lowest structure with this stoichiometry comes out at 0 meV per atom. As for the theoretical density: 2.41 g/cm3. For the total magnetic moment, the calculation gives 0.00 μB per formula unit.

a = 18.992 Å, b = 8.430 Å, c = 8.666 Å
α = 86.89°, β = 90.00°, γ = 90.00°
Atoms (fractional coordinates):
Br (0.633, 0.977, 0.999)
C (0.925, 0.370, 0.100)
Br (0.826, 0.443, 0.528)
Br (0.048, 0.619, 0.890)
Hg (0.964, 0.741, 0.063)
N (0.863, 0.345, 0.079)
N (0.023, 0.124, 0.474)
Br (0.074, 0.708, 0.401)
N (0.523, 0.876, 0.526)
Hg (0.979, 0.821, 0.555)
N (0.363, 0.655, 0.921)
Br (0.381, 0.112, 0.271)
Br (0.326, 0.557, 0.472)
C (0.297, 0.680, 0.939)
Hg (0.464, 0.259, 0.937)
C (0.425, 0.630, 0.900)
C (0.755, 0.578, 0.529)
C (0.797, 0.320, 0.061)
C (0.579, 0.809, 0.529)
C (0.140, 0.266, 0.468)
C (0.245, 0.776, 0.960)
C (0.745, 0.224, 0.040)
C (0.194, 0.865, 0.983)
C (0.198, 0.346, 0.470)
Br (0.381, 0.125, 0.770)
Br (0.881, 0.888, 0.729)
Br (0.574, 0.292, 0.599)
Br (0.133, 0.023, 0.001)
C (0.694, 0.135, 0.017)
Br (0.881, 0.875, 0.230)
C (0.255, 0.422, 0.471)
Hg (0.479, 0.179, 0.445)
C (0.640, 0.734, 0.532)
C (0.079, 0.191, 0.471)
C (0.698, 0.654, 0.530)
Br (0.548, 0.381, 0.110)